{
  "formula": "Cu3O4",
  "functional": "GGA-PBE",
  "state": "optimized geometry",
  "lattice_angstrom": [[-3.049, 3.522, 3.703], [3.049, -3.522, 3.703], [3.049, 3.522, -3.703]],
  "species": ["O", "Cu", "Cu", "O", "O", "O", "Cu", "Cu", "O", "O", "Cu", "O", "Cu", "O"],
  "fractional_positions": [[0.347, 0.755, 0.591], [0.500, 0.000, 0.000], [0.000, 0.000, 0.000], [0.813, 0.250, 0.063], [0.653, 0.245, 0.409], [0.164, 0.255, 0.909], [0.000, 0.000, 0.500], [0.000, 0.500, 0.000], [0.187, 0.750, 0.937], [0.836, 0.745, 0.091], [0.000, 0.500, 0.500], [0.187, 0.250, 0.437], [0.500, 0.500, 0.500], [0.813, 0.750, 0.563]],
  "energy_ev_per_atom": -5.0281,
  "relative_energy_kj_per_mol_atoms": 0.00,
  "ef_mev_per_atom": -836
}

{
  "formula": "Rb2Hg3Ge2S8",
  "functional": "GGA-PBE",
  "state": "optimized geometry",
  "lattice_angstrom": [[-4.063, -0.747, -5.053], [-2.011, -9.494, 3.021], [-10.468, 2.795, 8.004]],
  "species": ["S", "S", "S", "S", "S", "S", "Rb", "Ge", "S", "S", "Ge", "S", "S", "Hg", "S", "Rb", "Hg", "Hg", "Ge", "S", "Hg", "Ge", "Hg", "Hg", "S", "Rb", "S", "S", "S", "Rb"],
  "fractional_positions": [[0.340, 0.273, 0.926], [0.305, 0.736, 0.417], [0.660, 0.727, 0.074], [0.195, 0.736, 0.917], [0.807, 0.458, 0.829], [0.717, 0.091, 0.366], [0.336, 0.220, 0.193], [0.816, 0.283, 0.425], [0.283, 0.909, 0.634], [0.693, 0.458, 0.329], [0.184, 0.717, 0.575], [0.695, 0.264, 0.583], [0.783, 0.091, 0.866], [0.000, 0.000, 0.000], [0.217, 0.909, 0.134], [0.664, 0.780, 0.807], [0.500, 0.000, 0.500], [0.206, 0.502, 0.882], [0.684, 0.283, 0.925], [0.307, 0.542, 0.671], [0.794, 0.498, 0.118], [0.316, 0.717, 0.075], [0.294, 0.502, 0.382], [0.706, 0.498, 0.618], [0.160, 0.273, 0.426], [0.164, 0.220, 0.693], [0.840, 0.727, 0.574], [0.805, 0.264, 0.083], [0.193, 0.542, 0.171], [0.836, 0.780, 0.307]],
  "energy_ev_per_atom": -3.5443,
  "ef_mev_per_atom": -799
}

{
  "formula": "Mg6CuBi",
  "functional": "GGA-PBE",
  "state": "optimized geometry",
  "lattice_angstrom": [[-4.948, 0.269, -0.539], [0.225, -4.744, -4.425], [-1.265, -7.427, 7.898]],
  "species": ["Mg", "Mg", "Mg", "Mg", "Mg", "Mg", "Mg", "Mg", "Mg", "Mg", "Bi", "Cu", "Cu", "Mg", "Mg", "Bi"],
  "fractional_positions": [[0.000, 0.729, 0.415], [0.000, 0.500, 0.171], [0.500, 0.252, 0.084], [0.000, 0.000, 0.160], [0.000, 0.271, 0.415], [0.000, 0.000, 0.671], [0.000, 0.771, 0.915], [0.500, 0.748, 0.084], [0.500, 0.752, 0.584], [0.500, 0.248, 0.584], [0.500, 0.000, 0.334], [0.500, 0.000, 0.836], [0.500, 0.500, 0.336], [0.000, 0.229, 0.915], [0.000, 0.500, 0.660], [0.500, 0.500, 0.834]],
  "energy_ev_per_atom": -2.1778,
  "relative_energy_kj_per_mol_atoms": 1.77,
  "ef_mev_per_atom": 21
}

{
  "formula": "NdPt5",
  "functional": "GGA-PBE",
  "state": "optimized geometry",
  "lattice_angstrom": [[0.000, 0.000, -4.441], [-2.714, -4.701, 0.000], [-2.714, 4.701, 0.000]],
  "species": ["Pt", "Nd", "Pt", "Pt", "Pt", "Pt"],
  "fractional_positions": [[0.500, 0.500, 0.000], [0.000, 0.000, 0.000], [0.500, 0.500, 0.500], [0.500, 0.000, 0.500], [0.000, 0.333, 0.667], [0.000, 0.667, 0.333]],
  "energy_ev_per_atom": -6.5474,
  "ef_mev_per_atom": -693
}

{
  "formula": "U3Ga5",
  "functional": "GGA-PBE",
  "state": "optimized geometry",
  "lattice_angstrom": [[2.050, 4.690, -3.130], [-4.150, 2.631, 3.442], [6.470, 1.575, 6.596]],
  "species": ["U", "Ga", "Ga", "U", "Ga", "U", "U", "U", "Ga", "Ga", "Ga", "Ga", "U", "Ga", "Ga", "Ga"],
  "fractional_positions": [[0.211, 0.789, 0.000], [0.017, 0.017, 0.250], [0.299, 0.299, 0.056], [0.789, 0.211, 0.000], [0.701, 0.701, 0.944], [0.789, 0.211, 0.500], [0.630, 0.630, 0.250], [0.211, 0.789, 0.500], [0.983, 0.983, 0.750], [0.072, 0.488, 0.250], [0.701, 0.701, 0.556], [0.512, 0.928, 0.750], [0.370, 0.370, 0.750], [0.488, 0.072, 0.250], [0.299, 0.299, 0.444], [0.928, 0.512, 0.750]],
  "energy_ev_per_atom": -6.2038,
  "ef_mev_per_atom": -77
}

{
  "formula": "TaSN",
  "functional": "GGA-PBE",
  "state": "optimized geometry",
  "lattice_angstrom": [[5.409, 0.000, 0.057], [0.000, 5.618, 0.000], [-0.879, 0.000, 5.421]],
  "species": ["S", "S", "S", "S", "Ta", "Ta", "Ta", "Ta", "N", "N", "N", "N"],
  "fractional_positions": [[0.098, 0.379, 0.299], [0.902, 0.879, 0.201], [0.902, 0.621, 0.701], [0.098, 0.121, 0.799], [0.651, 0.980, 0.778], [0.349, 0.020, 0.222], [0.349, 0.480, 0.722], [0.651, 0.520, 0.278], [0.557, 0.237, 0.504], [0.443, 0.737, 0.996], [0.443, 0.763, 0.496], [0.557, 0.263, 0.004]],
  "energy_ev_per_atom": -8.9427,
  "ef_mev_per_atom": -1120
}

{
  "formula": "Na3H7Os",
  "functional": "GGA-PBE",
  "state": "optimized geometry",
  "lattice_angstrom": [[-4.364, -3.185, 7.933], [6.100, -7.401, 0.385], [3.316, 2.889, 2.984]],
  "species": ["H", "Na", "H", "H", "H", "Na", "H", "H", "Na", "H", "H", "H", "H", "Na", "H", "H", "H", "Na", "H", "H", "H", "H", "H", "H", "H", "H", "H", "Na", "Os", "H", "Na", "Na", "Na", "H", "Os", "Na", "Na", "H", "H", "Na", "Os", "H", "H", "Os"],
  "fractional_positions": [[0.756, 0.756, 0.705], [0.615, 0.615, 0.500], [0.896, 0.896, 0.803], [0.744, 0.256, 0.795], [0.931, 0.675, 0.000], [0.701, 0.967, 0.500], [0.604, 0.396, 0.303], [0.825, 0.431, 0.500], [0.385, 0.385, 0.500], [0.604, 0.396, 0.697], [0.826, 0.174, 0.500], [0.244, 0.244, 0.705], [0.244, 0.244, 0.295], [0.885, 0.115, 0.000], [0.069, 0.325, 0.000], [0.104, 0.104, 0.197], [0.174, 0.826, 0.500], [0.533, 0.201, 0.000], [0.675, 0.931, 0.000], [0.104, 0.104, 0.803], [0.569, 0.175, 0.500], [0.896, 0.896, 0.197], [0.744, 0.256, 0.205], [0.674, 0.674, 0.000], [0.175, 0.569, 0.500], [0.396, 0.604, 0.303], [0.256, 0.744, 0.205], [0.299, 0.033, 0.500], [0.702, 0.298, 0.500], [0.326, 0.326, 0.000], [0.115, 0.885, 0.000], [0.033, 0.299, 0.500], [0.799, 0.467, 0.000], [0.396, 0.604, 0.697], [0.298, 0.702, 0.500], [0.467, 0.799, 0.000], [0.967, 0.701, 0.500], [0.325, 0.069, 0.000], [0.431, 0.825, 0.500], [0.201, 0.533, 0.000], [0.798, 0.798, 0.000], [0.256, 0.744, 0.795], [0.756, 0.756, 0.295], [0.202, 0.202, 0.000]],
  "energy_ev_per_atom": -3.8066,
  "ef_mev_per_atom": -266
}

{
  "formula": "Mg2B2AsIr5",
  "functional": "GGA-PBE",
  "state": "optimized geometry",
  "lattice_angstrom": [[-2.924, 8.588, 2.778], [-8.071, -1.180, -4.847], [-1.273, -1.215, 2.416]],
  "species": ["As", "B", "Ir", "B", "B", "Ir", "B", "Mg", "Ir", "Mg", "As", "Mg", "Mg", "Ir", "Ir", "Ir", "Ir", "Ir", "Ir", "Ir"],
  "fractional_positions": [[0.000, 0.000, 0.000], [0.376, 0.876, 0.000], [0.500, 0.000, 0.500], [0.624, 0.124, 0.000], [0.124, 0.376, 0.000], [0.927, 0.784, 0.500], [0.876, 0.624, 0.000], [0.175, 0.675, 0.000], [0.284, 0.427, 0.500], [0.325, 0.175, 0.000], [0.500, 0.500, 0.000], [0.825, 0.325, 0.000], [0.675, 0.825, 0.000], [0.427, 0.716, 0.500], [0.784, 0.073, 0.500], [0.716, 0.573, 0.500], [0.073, 0.216, 0.500], [0.573, 0.284, 0.500], [0.000, 0.500, 0.500], [0.216, 0.927, 0.500]],
  "energy_ev_per_atom": -6.9704,
  "ef_mev_per_atom": -429
}

{
  "formula": "NdPb7F17",
  "functional": "GGA-PBE",
  "state": "optimized geometry",
  "lattice_angstrom": [[3.626, -0.003, 2.101], [1.202, 3.459, 2.100], [-0.292, -0.150, 34.025]],
  "species": ["F", "F", "Pb", "F", "Pb", "F", "Pb", "F", "F", "Nd", "F", "F", "F", "F", "F", "F", "Pb", "Pb", "Pb", "F", "F", "F", "F", "F", "Pb"],
  "fractional_positions": [[0.209, 0.257, 0.286], [0.744, 0.772, 0.841], [0.981, 0.993, 0.754], [0.741, 0.743, 0.596], [0.957, 0.011, 0.253], [0.478, 0.632, 0.928], [0.987, 0.993, 0.503], [0.737, 0.740, 0.472], [0.178, 0.280, 0.160], [0.962, 0.997, 0.881], [0.286, 0.353, 0.883], [0.731, 0.746, 0.347], [0.238, 0.247, 0.659], [0.205, 0.228, 0.794], [0.231, 0.246, 0.410], [0.727, 0.734, 0.725], [0.994, 0.984, 0.001], [0.988, 0.994, 0.628], [0.927, 0.036, 0.128], [0.713, 0.822, 0.968], [0.705, 0.760, 0.223], [0.689, 0.784, 0.095], [0.189, 0.291, 0.037], [0.233, 0.241, 0.536], [0.981, 0.997, 0.378]],
  "energy_ev_per_atom": -5.1501,
  "relative_energy_kj_per_mol_atoms": 0.00,
  "ef_mev_per_atom": -2932
}

{
  "formula": "Nb3ICl6",
  "functional": "GGA-PBE",
  "state": "optimized geometry",
  "lattice_angstrom": [[-8.093, -10.027, -0.381], [3.099, -2.032, -12.348], [9.544, -7.843, 3.686]],
  "species": ["Cl", "Cl", "Cl", "Cl", "Nb", "Nb", "Nb", "Cl", "Cl", "Cl", "Cl", "I", "Cl", "Cl", "Cl", "Nb", "Nb", "Cl", "Cl", "I", "I", "Cl", "I", "Cl", "Cl", "Nb", "Cl", "Cl", "Cl", "Nb", "I", "Nb", "Nb", "Nb", "Cl", "Nb", "Nb", "Cl", "Cl", "Nb", "Cl", "Cl", "Cl", "Cl", "Nb", "Cl", "Cl", "Cl", "Cl", "I", "Cl", "Cl", "Cl", "Cl", "Cl", "Cl", "Nb", "Cl", "Cl", "Cl", "Cl", "Nb", "Nb", "Nb", "Cl", "Nb", "Cl", "Cl", "I", "Nb", "Nb", "I", "Nb", "Cl", "Cl", "Nb", "Nb", "Cl", "Cl", "Cl"],
  "fractional_positions": [[0.739, 0.979, 0.118], [0.979, 0.382, 0.239], [0.783, 0.599, 0.879], [0.618, 0.761, 0.021], [0.143, 0.559, 0.043], [0.857, 0.059, 0.457], [0.143, 0.941, 0.543], [0.901, 0.121, 0.283], [0.882, 0.261, 0.021], [0.621, 0.283, 0.599], [0.099, 0.621, 0.217], [0.630, 0.370, 0.870], [0.401, 0.121, 0.217], [0.717, 0.401, 0.379], [0.382, 0.261, 0.479], [0.357, 0.059, 0.043], [0.043, 0.143, 0.559], [0.879, 0.783, 0.599], [0.379, 0.717, 0.401], [0.630, 0.130, 0.370], [0.370, 0.870, 0.630], [0.239, 0.979, 0.382], [0.870, 0.870, 0.870], [0.401, 0.379, 0.717], [0.283, 0.599, 0.621], [0.059, 0.457, 0.857], [0.479, 0.118, 0.761], [0.121, 0.283, 0.901], [0.239, 0.521, 0.882], [0.643, 0.559, 0.457], [0.870, 0.630, 0.370], [0.643, 0.941, 0.957], [0.941, 0.957, 0.643], [0.543, 0.143, 0.941], [0.879, 0.717, 0.099], [0.857, 0.441, 0.957], [0.559, 0.043, 0.143], [0.021, 0.882, 0.261], [0.717, 0.099, 0.879], [0.543, 0.357, 0.441], [0.882, 0.239, 0.521], [0.618, 0.739, 0.521], [0.121, 0.217, 0.401], [0.901, 0.379, 0.783], [0.457, 0.643, 0.559], [0.217, 0.401, 0.121], [0.118, 0.739, 0.979], [0.761, 0.021, 0.618], [0.739, 0.521, 0.618], [0.130, 0.370, 0.630], [0.479, 0.382, 0.261], [0.261, 0.021, 0.882], [0.521, 0.882, 0.239], [0.761, 0.479, 0.118], [0.783, 0.901, 0.379], [0.021, 0.618, 0.761], [0.059, 0.043, 0.357], [0.979, 0.118, 0.739], [0.621, 0.217, 0.099], [0.099, 0.879, 0.717], [0.283, 0.901, 0.121], [0.441, 0.957, 0.857], [0.941, 0.543, 0.143], [0.441, 0.543, 0.357], [0.599, 0.621, 0.283], [0.357, 0.441, 0.543], [0.382, 0.239, 0.979], [0.261, 0.479, 0.382], [0.130, 0.130, 0.130], [0.043, 0.357, 0.059], [0.957, 0.643, 0.941], [0.370, 0.630, 0.130], [0.559, 0.457, 0.643], [0.599, 0.879, 0.783], [0.217, 0.099, 0.621], [0.957, 0.857, 0.441], [0.457, 0.857, 0.059], [0.379, 0.783, 0.901], [0.118, 0.761, 0.479], [0.521, 0.618, 0.739]],
  "energy_ev_per_atom": -5.4590,
  "ef_mev_per_atom": -1535
}

{
  "formula": "HgI2",
  "functional": "GGA-PBE",
  "state": "optimized geometry",
  "lattice_angstrom": [[9.149, 0.000, 0.000], [0.000, 9.149, 0.000], [0.000, 0.000, 13.248]],
  "species": ["I", "I", "I", "I", "Hg", "I", "I", "Hg", "I", "I", "I", "I", "Hg", "I", "I", "Hg", "Hg", "I", "Hg", "I", "I", "Hg", "Hg", "I"],
  "fractional_positions": [[0.742, 0.258, 0.500], [0.758, 0.242, 0.000], [0.500, 0.000, 0.252], [0.000, 0.500, 0.248], [0.500, 0.748, 0.123], [0.758, 0.758, 0.000], [0.000, 0.500, 0.748], [0.000, 0.248, 0.377], [0.500, 0.000, 0.752], [0.742, 0.742, 0.500], [0.000, 0.000, 0.755], [0.258, 0.258, 0.500], [0.248, 0.000, 0.623], [0.242, 0.758, 0.000], [0.000, 0.000, 0.245], [0.252, 0.500, 0.877], [0.500, 0.252, 0.123], [0.500, 0.500, 0.255], [0.748, 0.500, 0.877], [0.258, 0.742, 0.500], [0.500, 0.500, 0.745], [0.752, 0.000, 0.623], [0.000, 0.752, 0.377], [0.242, 0.242, 0.000]],
  "energy_ev_per_atom": -1.4292,
  "ef_mev_per_atom": -565
}

{
  "formula": "BiSeO6",
  "functional": "GGA-PBE",
  "state": "optimized geometry",
  "lattice_angstrom": [[-3.364, 0.667, 5.152], [-0.599, 5.069, -4.141], [-11.851, -6.984, -6.834]],
  "species": ["O", "O", "O", "O", "O", "O", "O", "Bi", "O", "O", "Bi", "O", "Se", "O", "O", "O", "O", "O", "O", "O", "O", "Bi", "O", "Se", "O", "O", "Se", "O", "Se", "O", "O", "Bi"],
  "fractional_positions": [[0.976, 0.669, 0.579], [0.966, 0.155, 0.211], [0.834, 0.512, 0.269], [0.556, 0.373, 0.404], [0.944, 0.127, 0.904], [0.524, 0.831, 0.079], [0.166, 0.488, 0.731], [0.250, 0.639, 0.164], [0.094, 0.545, 0.980], [0.662, 0.669, 0.890], [0.250, 0.861, 0.664], [0.338, 0.331, 0.110], [0.825, 0.907, 0.840], [0.034, 0.845, 0.789], [0.906, 0.455, 0.020], [0.056, 0.873, 0.096], [0.162, 0.169, 0.610], [0.406, 0.955, 0.480], [0.594, 0.045, 0.520], [0.444, 0.627, 0.596], [0.466, 0.655, 0.289], [0.750, 0.361, 0.836], [0.666, 0.988, 0.769], [0.175, 0.093, 0.160], [0.024, 0.331, 0.421], [0.334, 0.012, 0.231], [0.675, 0.593, 0.340], [0.476, 0.169, 0.921], [0.325, 0.407, 0.660], [0.534, 0.345, 0.711], [0.838, 0.831, 0.390], [0.750, 0.139, 0.336]],
  "energy_ev_per_atom": -5.0758,
  "ef_mev_per_atom": -562
}

{
  "formula": "CeAl2Si2",
  "functional": "GGA-PBE",
  "state": "optimized geometry",
  "lattice_angstrom": [[2.105, -3.647, 0.000], [2.105, 3.647, 0.000], [0.000, 0.000, 6.822]],
  "species": ["Ce", "Si", "Al", "Al", "Si"],
  "fractional_positions": [[0.000, 0.000, 0.000], [0.667, 0.333, 0.734], [0.333, 0.667, 0.639], [0.667, 0.333, 0.361], [0.333, 0.667, 0.266]],
  "energy_ev_per_atom": -5.2195,
  "ef_mev_per_atom": -336
}